UCuMo12O54 after structural relaxation, computed with GGA+U.

The structure in CIF format:
```
data_UCuMo12O54
_chemical_formula_sum 'U1 Cu1 Mo12 O54'
_cell_length_a 10.585
_cell_length_b 10.585
_cell_length_c 10.585
_cell_angle_alpha 76.52
_cell_angle_beta 76.52
_cell_angle_gamma 76.52
_symmetry_space_group_name_H-M 'P 1'
_symmetry_Int_Tables_number 1
loop_
_symmetry_equiv_pos_as_xyz
'x,y,z'
loop_
_atom_site_label
_atom_site_fract_x
_atom_site_fract_y
_atom_site_fract_z
U1 0.000 0.000 0.000
Cu1 0.500 0.500 0.500
Mo1 0.063 0.722 0.840
Mo2 0.075 0.655 0.150
Mo3 0.150 0.075 0.655
Mo4 0.160 0.937 0.278
Mo5 0.278 0.160 0.937
Mo6 0.345 0.850 0.925
Mo7 0.655 0.150 0.075
Mo8 0.722 0.840 0.063
Mo9 0.840 0.063 0.722
Mo10 0.850 0.925 0.345
Mo11 0.925 0.345 0.850
Mo12 0.937 0.278 0.160
O1 0.008 0.905 0.419
O2 0.023 0.920 0.797
O3 0.029 0.833 0.201
O4 0.049 0.419 0.742
O5 0.063 0.320 0.212
O6 0.080 0.203 0.977
O7 0.095 0.581 0.992
O8 0.167 0.799 0.971
O9 0.191 0.549 0.522
O10 0.201 0.029 0.833
O11 0.202 0.680 0.723
O12 0.203 0.977 0.080
O13 0.212 0.063 0.320
O14 0.214 0.215 0.580
O15 0.215 0.580 0.214
O16 0.258 0.951 0.581
O17 0.277 0.798 0.320
O18 0.293 0.476 0.548
O19 0.320 0.212 0.063
O20 0.320 0.277 0.798
O21 0.419 0.008 0.905
O22 0.419 0.742 0.049
O23 0.420 0.786 0.785
O24 0.451 0.478 0.809
O25 0.452 0.707 0.524
O26 0.476 0.548 0.293
O27 0.478 0.809 0.451
O28 0.522 0.191 0.549
O29 0.524 0.452 0.707
O30 0.548 0.293 0.476
O31 0.549 0.522 0.191
O32 0.580 0.214 0.215
O33 0.581 0.258 0.951
O34 0.581 0.992 0.095
O35 0.680 0.723 0.202
O36 0.680 0.788 0.937
O37 0.707 0.524 0.452
O38 0.723 0.202 0.680
O39 0.742 0.049 0.419
O40 0.785 0.420 0.786
O41 0.786 0.785 0.420
O42 0.788 0.937 0.680
O43 0.797 0.023 0.920
O44 0.798 0.320 0.277
O45 0.799 0.971 0.167
O46 0.809 0.451 0.478
O47 0.833 0.201 0.029
O48 0.905 0.419 0.008
O49 0.920 0.797 0.023
O50 0.937 0.680 0.788
O51 0.951 0.581 0.258
O52 0.971 0.167 0.799
O53 0.977 0.080 0.203
O54 0.992 0.095 0.581
```

Values from the calculation:
ρ: 3.5 g/cm3
ΔE_f: -1100 meV/atom